# 1
Below is a relaxed structure of MgZn2W2O8, with properties calculated at the PBE+U level.

Properties
As for the total energy: -81.28 eV per cell. The value obtained for the excess energy over the best structure of this formula in the dataset is 104 meV/atom. Its space group is P2 (3). The value obtained for the corrected total energy (MP2020 scheme) is -7.358 eV/atom. As for the formation enthalpy at 0 K: -2.002 eV/atom.

Lattice parameters (Å, degrees): 5.036 6.129 5.266 90.00 97.73 90.00
Fractional coordinates of all 13 atoms:
Mg: 0.000 0.000 0.000
Zn: 0.000 0.454 0.000
Zn: 0.500 0.639 0.000
W: 0.000 0.880 0.500
W: 0.500 0.209 0.500
O: 0.152 0.702 0.793
O: 0.206 0.140 0.712
O: 0.287 0.952 0.292
O: 0.338 0.414 0.235
O: 0.662 0.414 0.765
O: 0.713 0.952 0.708
O: 0.794 0.140 0.288
O: 0.848 0.702 0.207

=====

# 2
Below is a relaxed structure of Li2FeF4, with properties calculated at the PBE+U level.

Properties
As for the total energy: -72.14 eV per cell. The value obtained for the excess energy over the best structure of this formula in the dataset is 9 meV/atom. Its space group is P2/c (13). The value obtained for the corrected total energy (MP2020 scheme) is -5.739 eV/atom. As for the formation enthalpy at 0 K: -2.890 eV/atom.

Lattice parameters (Å, degrees): 5.194 3.137 10.717 90.00 114.19 90.00
Fractional coordinates of all 14 atoms:
Li: 0.175 0.111 0.433
Li: 0.175 0.889 0.933
Li: 0.825 0.111 0.067
Li: 0.825 0.889 0.567
Fe: 0.500 0.403 0.750
Fe: 0.500 0.597 0.250
F: 0.233 0.097 0.121
F: 0.233 0.903 0.621
F: 0.286 0.383 0.869
F: 0.286 0.617 0.369
F: 0.714 0.383 0.631
F: 0.714 0.617 0.131
F: 0.767 0.097 0.379
F: 0.767 0.903 0.879

=====

# 3
Below is a relaxed structure of Mn4O7F, with properties calculated at the PBE+U level.

Properties
As for the total energy: -167.61 eV per cell. The value obtained for the excess energy over the best structure of this formula in the dataset is 11 meV/atom. Its space group is Cc (9). The value obtained for the corrected total energy (MP2020 scheme) is -7.979 eV/atom. As for the formation enthalpy at 0 K: -1.879 eV/atom.

Lattice parameters (Å, degrees): 6.657 6.657 6.970 114.42 114.42 96.30
Fractional coordinates of all 24 atoms:
Mn: 0.001 0.999 0.500
Mn: 0.394 0.901 0.797
Mn: 0.397 0.898 0.296
Mn: 0.501 0.521 0.505
Mn: 0.521 0.501 0.005
Mn: 0.898 0.397 0.796
Mn: 0.901 0.394 0.297
Mn: 0.999 0.001 0.000
O: 0.068 0.738 0.539
O: 0.093 0.920 0.253
O: 0.159 0.335 0.255
O: 0.293 0.965 0.030
O: 0.335 0.159 0.755
O: 0.425 0.600 0.759
O: 0.472 0.805 0.540
O: 0.600 0.425 0.259
O: 0.663 0.827 0.257
O: 0.738 0.068 0.039
O: 0.805 0.472 0.040
O: 0.827 0.663 0.757
O: 0.920 0.093 0.753
O: 0.965 0.293 0.530
F: 0.249 0.544 0.026
F: 0.544 0.249 0.526

=====

# 4
Below is a relaxed structure of K2Fe2P2O7F2, with properties calculated at the PBE+U level.

Properties
As for the total energy: -365.51 eV per cell. The value obtained for the excess energy over the best structure of this formula in the dataset is 271 meV/atom. Its space group is Pbcn (60). The value obtained for the corrected total energy (MP2020 scheme) is -6.775 eV/atom. As for the formation enthalpy at 0 K: -2.211 eV/atom.

Lattice parameters (Å, degrees): 7.082 10.320 10.610 90.00 90.00 90.00
Fractional coordinates of all 60 atoms:
K: 0.070 0.164 0.054
K: 0.070 0.836 0.554
K: 0.430 0.336 0.554
K: 0.430 0.664 0.054
K: 0.570 0.336 0.946
K: 0.570 0.664 0.446
K: 0.930 0.164 0.446
K: 0.930 0.836 0.946
Fe: 0.000 0.339 0.750
Fe: 0.000 0.500 0.000
Fe: 0.000 0.500 0.500
Fe: 0.000 0.661 0.250
Fe: 0.500 0.000 0.000
Fe: 0.500 0.000 0.500
Fe: 0.500 0.161 0.250
Fe: 0.500 0.839 0.750
P: 0.210 0.071 0.754
P: 0.210 0.929 0.254
P: 0.290 0.429 0.254
P: 0.290 0.571 0.754
P: 0.710 0.429 0.246
P: 0.710 0.571 0.746
P: 0.790 0.071 0.746
P: 0.790 0.929 0.246
O: 0.000 0.007 0.250
O: 0.000 0.993 0.750
O: 0.136 0.185 0.661
O: 0.136 0.815 0.161
O: 0.156 0.492 0.661
O: 0.156 0.508 0.161
O: 0.234 0.496 0.884
O: 0.234 0.504 0.384
O: 0.266 0.004 0.384
O: 0.266 0.996 0.884
O: 0.344 0.008 0.161
O: 0.344 0.992 0.661
O: 0.364 0.315 0.161
O: 0.364 0.685 0.661
O: 0.500 0.493 0.750
O: 0.500 0.507 0.250
O: 0.636 0.315 0.339
O: 0.636 0.685 0.839
O: 0.656 0.008 0.339
O: 0.656 0.992 0.839
O: 0.734 0.004 0.116
O: 0.734 0.996 0.616
O: 0.766 0.496 0.616
O: 0.766 0.504 0.116
O: 0.844 0.492 0.839
O: 0.844 0.508 0.339
O: 0.864 0.185 0.839
O: 0.864 0.815 0.339
F: 0.177 0.292 0.333
F: 0.177 0.708 0.833
F: 0.323 0.208 0.833
F: 0.323 0.792 0.333
F: 0.677 0.208 0.667
F: 0.677 0.792 0.167
F: 0.823 0.292 0.167
F: 0.823 0.708 0.667

=====

Among the records above, which one has the highest excess energy over the best structure of this formula in the dataset? K2Fe2P2O7F2